*a*
First-principles (PBE) data for crystalline Mg16Al12Ge at its relaxed geometry, as listed in the Materials Project.

Output
Calculated volume in Å³ per cell: 582
Crystal system: trigonal

Lattice parameters (Å, degrees): 9.0902 9.0902 9.0902 109.31 109.31 109.31
Last column: nearest neighbours and their distance in Å.
Fractional positions:
Mg (0.4090, 0.4090, 0.7059)  5 Al 2.96-3.15, 1 Ge 3.05, 6 Mg 3.10-3.25
Mg (0.6831, 0.6831, 0.2832)  5 Al 2.95-3.13, 7 Mg 3.02-3.17
Mg (0.9980, 0.9980, 0.3459)  4 Mg 3.02-3.15, 6 Al 3.07-3.14
Mg (0.0026, 0.0026, 0.0026)  1 Ge 2.85, 3 Al 3.13, 3 Mg 3.15
Mg (0.5959, 0.3168, 0.9984)  5 Al 2.88-3.12, 6 Mg 3.03-3.19
Mg (0.7059, 0.4090, 0.4090)  5 Al 2.96-3.15, 1 Ge 3.05, 6 Mg 3.10-3.25
Mg (0.3168, 0.9984, 0.5959)  5 Al 2.88-3.12, 6 Mg 3.03-3.19
Mg (0.3459, 0.9980, 0.9980)  4 Mg 3.02-3.15, 6 Al 3.07-3.14
Mg (0.6831, 0.2832, 0.6831)  5 Al 2.95-3.13, 7 Mg 3.02-3.17
Mg (0.9984, 0.5959, 0.3168)  5 Al 2.88-3.12, 6 Mg 3.03-3.19
Mg (0.5959, 0.9984, 0.3168)  5 Al 2.88-3.12, 6 Mg 3.03-3.19
Mg (0.2832, 0.6831, 0.6831)  5 Al 2.95-3.13, 7 Mg 3.02-3.17
Mg (0.9980, 0.3459, 0.9980)  4 Mg 3.02-3.15, 6 Al 3.07-3.14
Mg (0.9984, 0.3168, 0.5959)  5 Al 2.88-3.12, 6 Mg 3.03-3.19
Mg (0.4090, 0.7059, 0.4090)  5 Al 2.96-3.15, 1 Ge 3.05, 6 Mg 3.10-3.25
Mg (0.3168, 0.5959, 0.9984)  5 Al 2.88-3.12, 6 Mg 3.03-3.19
Al (0.3582, 0.3582, 0.1702)  3 Al 2.69-2.79, 3 Mg 2.95-2.96
Al (0.1857, 0.1857, 0.8099)  3 Al 2.69-2.76, 3 Mg 2.96-2.99
Al (0.8162, 0.6316, 0.0027)  3 Al 2.74-2.77, 3 Mg 2.88-3.00, 1 Ge 2.98
Al (0.0027, 0.8162, 0.6316)  3 Al 2.74-2.77, 3 Mg 2.88-3.00, 1 Ge 2.98
Al (0.3582, 0.1702, 0.3582)  3 Al 2.69-2.79, 3 Mg 2.95-2.96
Al (0.0027, 0.6316, 0.8162)  3 Al 2.74-2.77, 3 Mg 2.88-3.00, 1 Ge 2.98
Al (0.1857, 0.8099, 0.1857)  3 Al 2.69-2.76, 3 Mg 2.96-2.99
Al (0.8099, 0.1857, 0.1857)  3 Al 2.69-2.76, 3 Mg 2.96-2.99
Al (0.6316, 0.0027, 0.8162)  3 Al 2.74-2.77, 3 Mg 2.88-3.00, 1 Ge 2.98
Al (0.1702, 0.3582, 0.3582)  3 Al 2.69-2.79, 3 Mg 2.95-2.96
Al (0.8162, 0.0027, 0.6316)  3 Al 2.74-2.77, 3 Mg 2.88-3.00, 1 Ge 2.98
Al (0.6316, 0.8162, 0.0027)  3 Al 2.74-2.77, 3 Mg 2.88-3.00, 1 Ge 2.98
Ge (0.6910, 0.6910, 0.6910)  4 Mg 2.85-3.05, 6 Al 2.98



*b*
First-principles (PBE) data for crystalline Mg16Al12Ge at its relaxed geometry, as listed in the Materials Project.

Output
Calculated volume in Å³ per cell: 580
Crystal system: cubic

Lattice parameters (Å, degrees): 9.1002 9.1002 9.1002 109.47 109.47 109.47
Last column: nearest neighbours and their distance in Å.
Fractional positions:
Mg (0.3135, 0.5983, 0.0000)  5 Al 2.89-3.13, 7 Mg 3.06-3.17
Mg (0.5983, 0.3135, 0.0000)  5 Al 2.89-3.13, 7 Mg 3.06-3.17
Mg (0.0000, 0.3338, 0.0000)  1 Ge 3.04, 3 Mg 3.06, 6 Al 3.06
Mg (0.3338, 0.0000, 0.0000)  1 Ge 3.04, 3 Mg 3.06, 6 Al 3.06
Mg (0.4017, 0.4017, 0.7152)  5 Al 2.89-3.13, 7 Mg 3.06-3.17
Mg (0.2848, 0.6865, 0.6865)  5 Al 2.89-3.13, 7 Mg 3.06-3.17
Mg (0.6865, 0.2848, 0.6865)  5 Al 2.89-3.13, 7 Mg 3.06-3.17
Mg (0.6662, 0.6662, 0.6662)  1 Ge 3.04, 3 Mg 3.06, 6 Al 3.06
Mg (0.3135, 0.0000, 0.5983)  5 Al 2.89-3.13, 7 Mg 3.06-3.17
Mg (0.0000, 0.3135, 0.5983)  5 Al 2.89-3.13, 7 Mg 3.06-3.17
Mg (0.7152, 0.4017, 0.4017)  5 Al 2.89-3.13, 7 Mg 3.06-3.17
Mg (0.4017, 0.7152, 0.4017)  5 Al 2.89-3.13, 7 Mg 3.06-3.17
Mg (0.0000, 0.0000, 0.3338)  1 Ge 3.04, 3 Mg 3.06, 6 Al 3.06
Mg (0.5983, 0.0000, 0.3135)  5 Al 2.89-3.13, 7 Mg 3.06-3.17
Mg (0.0000, 0.5983, 0.3135)  5 Al 2.89-3.13, 7 Mg 3.06-3.17
Mg (0.6865, 0.6865, 0.2848)  5 Al 2.89-3.13, 7 Mg 3.06-3.17
Al (0.6300, 0.8133, 0.0000)  3 Al 2.72-2.77, 3 Mg 2.89-2.96
Al (0.8133, 0.6300, 0.0000)  3 Al 2.72-2.77, 3 Mg 2.89-2.96
Al (0.1867, 0.1867, 0.8168)  3 Al 2.72-2.77, 3 Mg 2.89-2.96
Al (0.0000, 0.6300, 0.8133)  3 Al 2.72-2.77, 3 Mg 2.89-2.96
Al (0.6300, 0.0000, 0.8133)  3 Al 2.72-2.77, 3 Mg 2.89-2.96
Al (0.8133, 0.0000, 0.6300)  3 Al 2.72-2.77, 3 Mg 2.89-2.96
Al (0.0000, 0.8133, 0.6300)  3 Al 2.72-2.77, 3 Mg 2.89-2.96
Al (0.1832, 0.3700, 0.3700)  3 Al 2.72-2.77, 3 Mg 2.89-2.96
Al (0.3700, 0.1832, 0.3700)  3 Al 2.72-2.77, 3 Mg 2.89-2.96
Al (0.8168, 0.1867, 0.1867)  3 Al 2.72-2.77, 3 Mg 2.89-2.96
Al (0.1867, 0.8168, 0.1867)  3 Al 2.72-2.77, 3 Mg 2.89-2.96
Al (0.3700, 0.3700, 0.1832)  3 Al 2.72-2.77, 3 Mg 2.89-2.96
Ge (0.0000, 0.0000, 0.0000)  4 Mg 3.04, 12 Al 3.23



Which of them is the most stable? Correct choice: *a*.



*a*
First-principles (PBE) data for crystalline LiAlSi2H2O7 at its relaxed geometry, as listed in the Materials Project.

Output
Calculated volume in Å³ per cell: 299
Crystal system: triclinic

Lattice parameters (Å, degrees): 6.9164 6.9594 7.6583 62.50 89.71 68.82
Last column: nearest neighbours and their distance in Å.
Fractional positions:
Li (0.1634, 0.9883, 0.6158)  2 O 1.87-2.04
Li (0.5724, 0.8987, 0.6401)  2 O 1.80-1.94
Al (0.9581, 0.5760, 0.7531)  4 O 1.78-1.89
Al (0.4521, 0.0159, 0.0181)  1 H 1.58
Si (0.5245, 0.4698, 0.8771)  4 O 1.63-1.76
Si (0.8230, 0.9895, 0.8829)  1 H 1.46, 1 O 1.63
Si (0.2909, 0.2977, 0.2266)  4 O 1.57-1.75
Si (0.9484, 0.5984, 0.3245)  4 O 1.59-1.68
H (0.4070, 0.8653, 0.2309)  1 Al 1.58
H (0.2933, 0.6233, 0.5859)  1 O 0.98
H (0.9989, 0.0522, 0.9027)  1 Si 1.46
H (0.7530, 0.3996, 0.3245)  1 O 0.98
O (0.7173, 0.5330, 0.7775)  1 Si 1.63, 1 Al 1.79
O (0.8786, 0.3708, 0.4065)  1 H 0.98
O (0.1669, 0.2647, 0.9040)  1 O 1.52
O (0.9674, 0.6626, 0.4964)  1 Si 1.59, 1 Al 1.78
O (0.8623, 0.8638, 0.7445)  1 Si 1.63
O (0.5847, 0.2109, 0.8216)  1 Si 1.68
O (0.4226, 0.8931, 0.8557)  1 O 1.49
O (0.1714, 0.5401, 0.2417)  2 Si 1.65
O (0.2910, 0.6354, 0.7083)  1 H 0.98
O (0.4650, 0.6405, 0.9976)  1 O 1.49
O (0.4903, 0.2629, 0.1036)  2 Si 1.67-1.75
O (0.3425, 0.0768, 0.4404)  1 Si 1.57
O (0.0902, 0.3599, 0.0464)  1 O 1.52
O (0.7782, 0.8206, 0.1117)  2 Si 1.68-1.70



*b*
First-principles (PBE) data for crystalline LiAlSi2H2O7 at its relaxed geometry, as listed in the Materials Project.

Output
Calculated volume in Å³ per cell: 305
Largest piezoelectric modulus in C/m2: 0.33
Crystal system: triclinic

Lattice parameters (Å, degrees): 4.9921 7.7057 8.6997 114.41 90.09 90.05
Last column: nearest neighbours and their distance in Å.
Fractional positions:
Li (0.8690, 0.1247, 0.3006)  4 O 1.95-2.04
Li (0.3669, 0.8538, 0.6884)  4 O 1.96-2.02
Al (0.8743, 0.0630, 0.6202)  4 O 1.73-1.77
Al (0.3672, 0.0932, 0.1000)  4 O 1.73-1.78
Si (0.3015, 0.5138, 0.1087)  4 O 1.60-1.64
Si (0.3751, 0.9373, 0.3805)  4 O 1.64
Si (0.8026, 0.4971, 0.8967)  4 O 1.60-1.64
Si (0.8673, 0.9030, 0.8935)  4 O 1.63-1.64
H (0.6754, 0.4629, 0.4856)  1 O 0.99
H (0.7964, 0.4575, 0.3201)  1 O 0.98
H (0.1736, 0.5137, 0.5159)  1 O 0.99
H (0.2992, 0.5292, 0.6839)  1 O 0.98
O (0.3299, 0.5671, 0.5911)  2 H 0.98-0.99
O (0.1864, 0.9576, 0.9132)  1 Si 1.64, 1 Al 1.77
O (0.8343, 0.6745, 0.8416)  2 Si 1.63
O (0.7396, 0.9412, 0.7365)  1 Si 1.64, 1 Al 1.77
O (0.8913, 0.3069, 0.7400)  1 Si 1.60, 1 Al 1.73
O (0.1973, 0.9712, 0.5484)  1 Si 1.64, 1 Al 1.77
O (0.2429, 0.0424, 0.2685)  1 Si 1.64, 1 Al 1.78
O (0.7091, 0.0269, 0.0702)  1 Si 1.64, 1 Al 1.77
O (0.3345, 0.3359, 0.1577)  1 Si 1.60, 1 Al 1.73
O (0.9869, 0.5368, 0.0647)  2 Si 1.64
O (0.3949, 0.7061, 0.2699)  2 Si 1.63-1.64
O (0.6782, 0.0192, 0.4385)  1 Si 1.64, 1 Al 1.77
O (0.4858, 0.4909, 0.9450)  2 Si 1.64
O (0.8306, 0.4136, 0.4089)  2 H 0.98-0.99



Which of them is the most stable? Correct choice: *b*.



*a*
First-principles (PBE) data for crystalline LiAlSi2H2O7 at its relaxed geometry, as listed in the Materials Project.

Output
Calculated volume in Å³ per cell: 272
Crystal system: triclinic

Lattice parameters (Å, degrees): 6.5095 6.7563 7.3003 62.76 76.78 73.74
Last column: nearest neighbours and their distance in Å.
Fractional positions:
Li (0.9300, 0.3797, 0.5733)  2 O 1.83-1.95
Li (0.4322, 0.4894, 0.6228)  3 O 1.85-2.07
Al (0.0061, 0.6792, 0.7381)  4 O 1.75-1.89
Al (0.5549, 0.9634, 0.0321)  1 H 1.62, 1 O 1.81
Si (0.4564, 0.6666, 0.8804)  4 O 1.63-1.76
Si (0.1773, 0.1262, 0.8668)  1 H 1.46, 1 O 1.63
Si (0.7309, 0.4845, 0.2319)  4 O 1.57-1.73
Si (0.0475, 0.0827, 0.3016)  4 O 1.59-1.66
H (0.6095, 0.9028, 0.2603)  1 Al 1.62
H (0.6841, 0.7723, 0.5739)  1 O 0.98
H (0.9994, 0.0471, 0.8495)  1 Si 1.46
H (0.3002, 0.1554, 0.4178)  1 O 0.98
O (0.2631, 0.7159, 0.7481)  1 Si 1.63, 1 Al 1.78
O (0.1468, 0.2097, 0.4001)  1 H 0.98
O (0.8376, 0.8158, 0.9140)  1 O 1.49
O (0.9791, 0.8545, 0.4753)  1 Si 1.59, 1 Al 1.75
O (0.1191, 0.4006, 0.7334)  1 Si 1.63
O (0.4161, 0.9831, 0.8054)  1 Si 1.67
O (0.5364, 0.2668, 0.8822)  1 O 1.47
O (0.8498, 0.2675, 0.1738)  2 Si 1.63-1.65
O (0.6933, 0.6586, 0.7186)  1 H 0.98
O (0.4770, 0.3765, 0.0264)  1 O 1.47
O (0.5151, 0.6513, 0.1107)  2 Si 1.67-1.76
O (0.6851, 0.4115, 0.4717)  1 Si 1.57
O (0.9201, 0.6559, 0.1170)  1 O 1.49
O (0.2197, 0.0354, 0.1131)  2 Si 1.66-1.68



*b*
First-principles (PBE) data for crystalline LiAlSi2H2O7 at its relaxed geometry, as listed in the Materials Project.

Output
Calculated volume in Å³ per cell: 306
Largest piezoelectric modulus in C/m2: 0.49
Crystal system: triclinic

Lattice parameters (Å, degrees): 5.0634 7.6442 8.5118 68.55 87.73 87.08
Last column: nearest neighbours and their distance in Å.
Fractional positions:
Li (0.6841, 0.8146, 0.2947)  4 O 2.04-2.24
Li (0.1641, 0.1174, 0.7134)  4 O 1.91-2.03
Al (0.1617, 0.0621, 0.3957)  4 O 1.76-1.81
Al (0.6671, 0.0932, 0.9054)  4 O 1.74-1.85
Si (0.1766, 0.9225, 0.1034)  4 O 1.61-1.65
Si (0.0975, 0.5032, 0.1490)  5 O 1.67-1.86
Si (0.6418, 0.5112, 0.9127)  4 O 1.59-1.76
Si (0.6630, 0.9257, 0.6275)  4 O 1.63-1.65
H (0.6530, 0.5164, 0.2353)  1 O 0.97
H (0.5309, 0.3880, 0.7093)  1 O 1.01
H (0.1192, 0.4790, 0.6113)  1 O 0.97
H (0.2180, 0.3870, 0.4766)  1 O 1.02
O (0.3099, 0.9532, 0.2626)  1 Si 1.63, 1 Al 1.76
O (0.8632, 0.9949, 0.0827)  1 Si 1.65, 1 Al 1.74
O (0.2342, 0.7030, 0.1348)  2 Si 1.61-1.67
O (0.4098, 0.4502, 0.0506)  1 Si 1.59
O (0.1445, 0.3096, 0.3197)  1 Si 1.67, 1 H 1.71, 1 Al 1.76
O (0.8555, 0.9423, 0.4642)  1 Si 1.64, 1 Al 1.81
O (0.8081, 0.5832, 0.2414)  1 H 0.97
O (0.8009, 0.0341, 0.7370)  1 Si 1.65, 1 Al 1.76
O (0.3324, 0.0458, 0.9284)  1 Si 1.64, 1 Al 1.74
O (0.6569, 0.3527, 0.8062)  1 H 1.01
O (0.9348, 0.4831, 0.9889)  2 Si 1.62-1.68
O (0.6190, 0.7050, 0.7483)  2 Si 1.63-1.64
O (0.3665, 0.0134, 0.5716)  1 Si 1.63, 1 Al 1.77
O (0.2507, 0.3914, 0.5925)  2 H 0.97-1.02



Which of them is the most stable? Correct choice: *b*.